[1]
Ga: relaxed, PBE-GGA.

Lattice parameters (Å, degrees): 8.6787 8.6787 5.2756 90.00 90.00 104.27
Last column: nearest neighbours and their distance in Å.
Fractional coordinates of all 20 atoms:
1 Ga 0.2140 0.7860 0.2500  5 Ga 2.63-2.94
2 Ga 0.9117 0.6332 0.2500  3 Ga 2.63-2.66
3 Ga 0.0883 0.3668 0.7500  3 Ga 2.63-2.66
4 Ga 0.6332 0.9117 0.7500  3 Ga 2.63-2.66
5 Ga 0.3930 0.6070 0.9974  5 Ga 2.61-2.83
6 Ga 0.0807 0.6682 0.7500  3 Ga 2.63-2.68
7 Ga 0.6070 0.3930 0.0026  5 Ga 2.61-2.83
8 Ga 0.2265 0.3284 0.2500  6 Ga 2.66-2.95
9 Ga 0.6070 0.3930 0.4974  5 Ga 2.61-2.83
10 Ga 0.7735 0.6716 0.7500  6 Ga 2.66-2.95
11 Ga 0.9193 0.3318 0.2500  3 Ga 2.63-2.68
12 Ga 0.3284 0.2265 0.7500  6 Ga 2.66-2.95
13 Ga 0.3930 0.6070 0.5026  5 Ga 2.61-2.83
14 Ga 0.3668 0.0883 0.2500  3 Ga 2.63-2.66
15 Ga 0.7860 0.2140 0.7500  5 Ga 2.63-2.94
16 Ga 0.6682 0.0807 0.2500  3 Ga 2.63-2.68
17 Ga 0.6716 0.7735 0.2500  6 Ga 2.66-2.95
18 Ga 0.3318 0.9193 0.7500  3 Ga 2.63-2.68
19 Ga 0.0005 0.9995 0.7500  3 Ga 2.64-2.94
20 Ga 0.9995 0.0005 0.2500  3 Ga 2.64-2.94

Output
space-group type	Cmcm
formation energy	0.012	eV per atom
energy relative to the lowest polymorph listed for this composition	12	meV per atom
total energy	-3.02	eV per atom



[2]
Er3Co29Si4B10: relaxed, PBE-GGA.

Lattice parameters (Å, degrees): 11.1090 11.1090 7.8090 90.00 90.00 90.00
Last column: nearest neighbours and their distance in Å.
Fractional coordinates of all 92 atoms:
1 Co 0.0000 0.7283 0.4727  3 B 2.07-2.12
2 Co 0.8839 0.6161 0.2474  2 B 2.13
3 Co 0.8898 0.0000 0.1117  1 B 1.90
4 Co 0.8257 0.8385 0.3357  3 B 2.03-2.13
5 Co 0.8385 0.1743 0.6643  3 B 2.03-2.13
6 Co 0.3839 0.1161 0.7526  2 B 2.13
7 Co 0.5000 0.0000 0.5352  12 Co 2.49-2.54
8 Co 0.3257 0.3385 0.6643  3 B 2.03-2.13
9 Co 0.5000 0.3898 0.1117  1 B 1.90
10 Co 0.1101 0.3899 0.6976  4 B 2.05-2.10
11 Co 0.0000 0.3351 0.9693  3 B 2.05-2.12
12 Co 0.6161 0.8839 0.7526  2 B 2.13
13 Co 0.8257 0.1615 0.3357  3 B 2.03-2.13
14 Co 0.3899 0.8899 0.3024  4 B 2.05-2.10
15 Co 0.1615 0.8257 0.6643  3 B 2.03-2.13
16 Co 0.5000 0.2283 0.5273  3 B 2.07-2.12
17 Co 0.3257 0.6615 0.6643  3 B 2.03-2.13
18 Co 0.0000 0.5000 0.4648  12 Co 2.49-2.54
19 Co 0.2283 0.5000 0.4727  3 B 2.07-2.12
20 Co 0.6101 0.8899 0.3024  4 B 2.05-2.10
21 Co 0.3351 0.0000 0.0307  3 B 2.05-2.12
22 Co 0.1161 0.3839 0.2474  2 B 2.13
23 Co 0.1101 0.6101 0.6976  4 B 2.05-2.10
24 Co 0.0000 0.1102 0.8883  1 B 1.90
25 Co 0.6615 0.3257 0.3357  3 B 2.03-2.13
26 Co 0.1743 0.8385 0.3357  3 B 2.03-2.13
27 Co 0.5000 0.8351 0.0307  3 B 2.05-2.12
28 Co 0.6743 0.6615 0.6643  3 B 2.03-2.13
29 Co 0.1649 0.5000 0.9693  3 B 2.05-2.12
30 Co 0.6102 0.5000 0.8883  1 B 1.90
31 Co 0.8385 0.8257 0.6643  3 B 2.03-2.13
32 Co 0.5000 0.6102 0.1117  1 B 1.90
33 Co 0.5000 0.1649 0.0307  3 B 2.05-2.12
34 Co 0.3385 0.6743 0.3357  3 B 2.03-2.13
35 Co 0.8899 0.3899 0.6976  4 B 2.05-2.10
36 Co 0.3385 0.3257 0.3357  3 B 2.03-2.13
37 Co 0.0000 0.6649 0.9693  3 B 2.05-2.12
38 Co 0.1161 0.6161 0.2474  2 B 2.13
39 Co 0.1615 0.1743 0.6643  3 B 2.03-2.13
40 Co 0.2717 0.0000 0.5273  3 B 2.07-2.12
41 Co 0.7283 0.0000 0.5273  3 B 2.07-2.12
42 Co 0.8839 0.3839 0.2474  2 B 2.13
43 Co 0.5000 0.7717 0.5273  3 B 2.07-2.12
44 Co 0.3899 0.1101 0.3024  4 B 2.05-2.10
45 Co 0.6649 0.0000 0.0307  3 B 2.05-2.12
46 Co 0.6101 0.1101 0.3024  4 B 2.05-2.10
47 Co 0.7717 0.5000 0.4727  3 B 2.07-2.12
48 Co 0.3898 0.5000 0.8883  1 B 1.90
49 Co 0.0000 0.2717 0.4727  3 B 2.07-2.12
50 Co 0.6615 0.6743 0.3357  3 B 2.03-2.13
51 Co 0.1102 0.0000 0.1117  1 B 1.90
52 Co 0.8351 0.5000 0.9693  3 B 2.05-2.12
53 Co 0.6161 0.1161 0.7526  2 B 2.13
54 Co 0.0000 0.8898 0.8883  1 B 1.90
55 Co 0.8899 0.6101 0.6976  4 B 2.05-2.10
56 Co 0.1743 0.1615 0.3357  3 B 2.03-2.13
57 Co 0.6743 0.3385 0.6643  3 B 2.03-2.13
58 Co 0.3839 0.8839 0.7526  2 B 2.13
59 B 0.5000 0.0000 0.1497  1 B 2.00, 8 Co 2.05-2.10
60 B 0.7437 0.5000 0.7352  7 Co 1.90-2.09
61 B 0.7563 0.0000 0.2648  7 Co 1.90-2.09
62 B 0.8139 0.3139 0.4812  1 B 2.03, 8 Co 2.04-2.13
63 B 0.1861 0.6861 0.4812  1 B 2.03, 8 Co 2.04-2.13
64 B 0.6861 0.8139 0.5188  1 B 2.03, 8 Co 2.04-2.13
65 B 0.0000 0.2437 0.7352  7 Co 1.90-2.09
66 B 0.3139 0.8139 0.5188  1 B 2.03, 8 Co 2.04-2.13
67 B 0.8139 0.6861 0.4812  1 B 2.03, 8 Co 2.04-2.13
68 B 0.0000 0.5000 0.8503  1 B 2.00, 8 Co 2.05-2.10
69 B 0.6861 0.1861 0.5188  1 B 2.03, 8 Co 2.04-2.13
70 B 0.5000 0.2563 0.2648  7 Co 1.90-2.09
71 B 0.2563 0.5000 0.7352  7 Co 1.90-2.09
72 B 0.5000 0.7437 0.2648  7 Co 1.90-2.09
73 B 0.0000 0.7563 0.7352  7 Co 1.90-2.09
74 B 0.0000 0.5000 0.1058  1 B 2.00, 8 Co 2.12-2.13
75 B 0.2437 0.0000 0.2648  7 Co 1.90-2.09
76 B 0.5000 0.0000 0.8942  1 B 2.00, 8 Co 2.12-2.13
77 B 0.1861 0.3139 0.4812  1 B 2.03, 8 Co 2.04-2.13
78 B 0.3139 0.1861 0.5188  1 B 2.03, 8 Co 2.04-2.13
79 Si 0.5000 0.6823 0.8252  7 Co 2.32-2.53
80 Si 0.1823 0.0000 0.8252  7 Co 2.32-2.53
81 Si 0.6823 0.5000 0.1748  7 Co 2.32-2.53
82 Si 0.0000 0.8177 0.1748  7 Co 2.32-2.53
83 Si 0.0000 0.1823 0.1748  7 Co 2.32-2.53
84 Si 0.8177 0.0000 0.8252  7 Co 2.32-2.53
85 Si 0.3177 0.5000 0.1748  7 Co 2.32-2.53
86 Si 0.5000 0.3177 0.8252  7 Co 2.32-2.53
87 Er 0.7500 0.7500 0.0000  10 Co 2.86-2.94, 4 Si 3.18
88 Er 0.0000 0.0000 0.5000  16 Co 2.94-3.27, 4 Si 3.25, 4 B 3.27
89 Er 0.5000 0.5000 0.5000  16 Co 2.94-3.27, 4 Si 3.25, 4 B 3.27
90 Er 0.2500 0.7500 0.0000  10 Co 2.86-2.94, 4 Si 3.18
91 Er 0.2500 0.2500 0.0000  10 Co 2.86-2.94, 4 Si 3.18
92 Er 0.7500 0.2500 0.0000  10 Co 2.86-2.94, 4 Si 3.18

Output
magnetic moment	36.731	μB/cell
space-group type	P4/nmm
formation energy	-0.425	eV per atom
total energy	-7.13	eV per atom



[3]
NaNdO2: relaxed, PBE-GGA.

Lattice parameters (Å, degrees): 4.7674 4.7674 6.4972 111.52 111.52 90.00
Last column: nearest neighbours and their distance in Å.
Fractional coordinates of all 8 atoms:
1 Nd 0.5000 0.5000 0.0000  6 O 2.41-2.42
2 Nd 0.7500 0.2500 0.5000  6 O 2.41-2.42
3 O 0.7178 0.7178 0.4357  2 Na 2.41, 3 Nd 2.41-2.42
4 O 0.9678 0.4678 0.9357  3 Nd 2.41-2.42, 2 Na 2.41
5 O 0.5322 0.0322 0.0643  2 Na 2.41, 3 Nd 2.41-2.42
6 O 0.2822 0.2822 0.5643  2 Na 2.41, 3 Nd 2.41-2.42
7 Na 0.2500 0.7500 0.5000  4 O 2.41
8 Na 0.0000 0.0000 0.0000  4 O 2.41

Output
space-group type	I4_1/amd
formation energy	-2.993	eV per atom
total energy	-6.65	eV per atom



[4]
Rb2LiNb2Te2O12: relaxed, PBE-GGA.

Lattice parameters (Å, degrees): 7.5958 7.8251 7.5791 90.02 59.61 120.65
Last column: nearest neighbours and their distance in Å.
Fractional coordinates of all 19 atoms:
1 Te 0.9945 0.0088 0.5101  6 O 1.94-1.99
2 Te 0.9872 0.0068 0.9962  6 O 1.97-2.15
3 O 0.7496 0.0638 0.6917  1 Te 1.94, 1 Nb 2.01
4 O 0.2530 0.3162 0.9368  1 Li 2.01, 1 Te 2.06, 1 Nb 2.09
5 O 0.7602 0.7086 0.6824  1 Te 1.94, 1 Nb 1.97
6 O 0.8684 0.9471 0.3274  2 Te 1.98-2.15, 1 Li 2.08
7 O 0.7386 0.6943 0.0772  1 Nb 1.97, 1 Te 2.01
8 O 0.6238 0.3285 0.9377  1 Nb 1.86, 1 Li 1.92
9 O 0.7312 0.0578 0.0783  1 Te 1.97, 1 Nb 2.02
10 O 0.3550 0.6799 0.0761  1 Nb 1.84
11 O 0.2584 0.9544 0.9358  1 Li 1.94, 1 Nb 1.99, 1 Te 2.13
12 O 0.2414 0.3062 0.3177  1 Te 1.96, 1 Li 2.06, 1 Nb 2.14
13 O 0.1431 0.0844 0.6734  2 Te 1.97-2.02
14 O 0.2466 0.9570 0.3139  1 Li 1.97, 1 Te 1.99, 1 Nb 2.05
15 Rb 0.2872 0.5857 0.5908  4 O 3.02-3.34
16 Rb 0.7345 0.3119 0.3755  4 O 3.01-3.32
17 Nb 0.4763 0.9602 0.0112  5 O 1.84-2.05
18 Nb 0.5300 0.5114 0.9842  3 O 1.86-1.97
19 Li 0.2618 0.1332 0.1131  6 O 1.92-2.08

Output
magnetic moment	0.000	μB/cell
space-group type	P1
formation energy	-2.162	eV per atom
energy relative to the lowest polymorph listed for this composition	68	meV per atom
total energy	-6.45	eV per atom



[5]
Ca2Pb: relaxed, PBE-GGA.

Lattice parameters (Å, degrees): 5.1533 7.9883 9.7080 90.00 90.00 90.00
Last column: nearest neighbours and their distance in Å.
Fractional coordinates of all 12 atoms:
1 Ca 0.2500 0.1585 0.5699  4 Pb 3.20-3.30
2 Ca 0.2500 0.0214 0.1854  5 Pb 3.39-3.74, 2 Ca 3.79
3 Ca 0.2500 0.5214 0.3146  5 Pb 3.39-3.74, 2 Ca 3.79
4 Ca 0.7500 0.4786 0.6854  5 Pb 3.39-3.74, 2 Ca 3.79
5 Ca 0.7500 0.9786 0.8146  5 Pb 3.39-3.74, 2 Ca 3.79
6 Ca 0.7500 0.8415 0.4301  4 Pb 3.20-3.30
7 Ca 0.2500 0.6585 0.9301  4 Pb 3.20-3.30
8 Ca 0.7500 0.3415 0.0699  4 Pb 3.20-3.30
9 Pb 0.2500 0.2481 0.8907  7 Ca 3.20-3.44
10 Pb 0.2500 0.7481 0.6093  7 Ca 3.20-3.44
11 Pb 0.7500 0.7519 0.1093  7 Ca 3.20-3.44
12 Pb 0.7500 0.2519 0.3907  7 Ca 3.20-3.44

Output
space-group type	Pnma
formation energy	-0.551	eV per atom
total energy	-3.13	eV per atom



[6]
Nb3Te4: relaxed, PBE-GGA.

Lattice parameters (Å, degrees): 10.8394 10.8394 3.6631 90.00 90.00 120.00
Last column: nearest neighbours and their distance in Å.
Fractional coordinates of all 14 atoms:
1 Te 0.3385 0.2732 0.2500  4 Nb 2.80-3.01
2 Te 0.0652 0.3385 0.7500  4 Nb 2.80-3.01
3 Te 0.9348 0.6615 0.2500  4 Nb 2.80-3.01
4 Te 0.3333 0.6667 0.2500  6 Nb 2.92
5 Te 0.7268 0.0652 0.2500  4 Nb 2.80-3.01
6 Te 0.6615 0.7268 0.7500  4 Nb 2.80-3.01
7 Te 0.6667 0.3333 0.7500  6 Nb 2.92
8 Te 0.2732 0.9348 0.7500  4 Nb 2.80-3.01
9 Nb 0.6141 0.5114 0.2500  6 Te 2.80-3.01, 2 Nb 2.99
10 Nb 0.4886 0.1027 0.2500  6 Te 2.80-3.01, 2 Nb 2.99
11 Nb 0.1027 0.6141 0.7500  6 Te 2.80-3.01, 2 Nb 2.99
12 Nb 0.3859 0.4886 0.7500  6 Te 2.80-3.01, 2 Nb 2.99
13 Nb 0.8973 0.3859 0.2500  6 Te 2.80-3.01, 2 Nb 2.99
14 Nb 0.5114 0.8973 0.7500  6 Te 2.80-3.01, 2 Nb 2.99

Output
space-group type	P6_3/m
formation energy	-0.703	eV per atom
energy relative to the lowest polymorph listed for this composition	0	meV per atom
total energy	-6.59	eV per atom